Entry from the Materials Project: KRbMnV2O7 after structural relaxation (GGA+U).

## Properties
Calculated density: 2.929 g cm⁻³
VASP energy: -82.86 eV/f.u.

a = 8.7009 Å, b = 8.7009 Å, c = 11.7854 Å
α = 90.00°, β = 90.00°, γ = 90.00°
Closest atoms and distances in Å follow each position.
Space group P4_2/mnm (No. 136)
Unique sites:
K (0.1809, 0.1809, 0.0000)  4 O 2.77-2.89
Rb (0.1467, 0.1467, 0.5000)  8 O 2.98-3.04
Mn (0.0000, 0.5000, 0.2500)  4 O 2.06
V (0.1399, 0.8601, 0.2116)  4 O 1.68-1.84
O (0.0000, 0.0000, 0.1567)  2 V 1.84
O (0.0871, 0.6814, 0.1575)  1 V 1.74
O (0.1422, 0.8578, 0.3543)  1 V 1.68